# 1
KRbMg6O7 after structural relaxation, computed with PBE-GGA.

abc: 4.1475 4.1475 13.9423
angles: 90.00 90.00 90.00
With the nearest neighbours (Å) after each atom.
Fractional coordinates of all 15 atoms:
K1 0.0000 0.0000 0.0000  4 O 2.51
Rb1 0.0000 0.0000 0.5172  4 O 2.67
Mg1 0.0000 0.5000 0.2486  4 O 2.05-2.07
Mg2 0.0000 0.5000 0.7772  4 O 2.07-2.08
Mg3 0.5000 0.0000 0.2486  4 O 2.05-2.07
Mg4 0.5000 0.0000 0.7772  4 O 2.07-2.08
Mg5 0.5000 0.5000 0.0902  4 O 2.08
Mg6 0.5000 0.5000 0.4055  4 O 2.08
O1 0.0000 0.0000 0.2478  4 Mg 2.07
O2 0.0000 0.0000 0.7724  4 Mg 2.07
O3 0.0000 0.5000 0.1017  3 Mg 2.05-2.08
O4 0.0000 0.5000 0.3963  3 Mg 2.06-2.08
O5 0.5000 0.0000 0.1017  3 Mg 2.05-2.08
O6 0.5000 0.0000 0.3963  3 Mg 2.06-2.08
O7 0.5000 0.5000 0.7826  4 Mg 2.08

Values from the calculation:
- Symmetry: P4mm
- Formation enthalpy at 0 K: -2963 kJ/mol of formula units
- Energy: -4.815 eV per atom
- Excess energy over the best structure of this formula in the dataset: 154 meV/atom

---

# 2
NaInGe2O6 after structural relaxation, computed with PBE-GGA.

abc: 7.0041 7.0041 5.6995
angles: 103.07 103.07 83.59
With the nearest neighbours (Å) after each atom.
Fractional coordinates of all 20 atoms:
Na1 0.1965 0.8035 0.7500  6 O 2.48-2.60
Na2 0.8035 0.1965 0.2500  6 O 2.48-2.60
In1 0.3980 0.6020 0.2500  6 O 2.12-2.26
In2 0.6020 0.3980 0.7500  6 O 2.12-2.26
Ge1 0.1199 0.3000 0.7584  4 O 1.74-1.80
Ge2 0.3000 0.1199 0.2584  4 O 1.74-1.80
Ge3 0.7000 0.8801 0.7416  4 O 1.74-1.80
Ge4 0.8801 0.7000 0.2416  4 O 1.74-1.80
O1 0.1167 0.5999 0.3290  1 Ge 1.74
O2 0.1249 0.1586 0.9854  2 Ge 1.79-1.80
O3 0.1586 0.1249 0.4854  2 Ge 1.79-1.80
O4 0.3077 0.4692 0.8590  1 Ge 1.78
O5 0.4001 0.8833 0.1710  1 Ge 1.74
O6 0.4692 0.3077 0.3590  1 Ge 1.78
O7 0.5308 0.6923 0.6410  1 Ge 1.78
O8 0.5999 0.1167 0.8290  1 Ge 1.74
O9 0.6923 0.5308 0.1410  1 Ge 1.78
O10 0.8414 0.8751 0.5146  2 Ge 1.79-1.80
O11 0.8751 0.8414 0.0146  2 Ge 1.79-1.80
O12 0.8833 0.4001 0.6710  1 Ge 1.74

Values from the calculation:
- Symmetry: C2/c
- Formation enthalpy at 0 K: -2053 kJ/mol of formula units
- Energy: -6.016 eV per atom

---

# 3
Ba4Y2Cu7O15 after structural relaxation, computed with PBE-GGA.

abc: 25.6828 25.6828 3.9125
angles: 90.00 90.00 171.33
With the nearest neighbours (Å) after each atom.
Fractional coordinates of all 28 atoms:
Ba1 0.0420 0.9580 0.0000  10 O 2.77-3.05
Ba2 0.1885 0.8115 0.0000  10 O 2.77-3.06
Ba3 0.8115 0.1885 0.0000  10 O 2.77-3.06
Ba4 0.9580 0.0420 0.0000  10 O 2.77-3.05
Y1 0.1152 0.8848 0.0000  8 O 2.39-2.45
Y2 0.8848 0.1152 0.0000  8 O 2.39-2.45
Cu1 0.2701 0.7299 0.5000  4 O 1.85-1.95
Cu2 0.3513 0.6487 0.5000  4 O 1.97
Cu3 0.4184 0.5816 0.5000  4 O 1.96-1.98
Cu4 0.5000 0.5000 0.5000  4 O 1.88-1.96
Cu5 0.5816 0.4184 0.5000  4 O 1.96-1.98
Cu6 0.6487 0.3513 0.5000  4 O 1.97
Cu7 0.7299 0.2701 0.5000  4 O 1.85-1.95
O1 0.0867 0.9133 0.5000  2 Cu 1.96
O2 0.1426 0.8574 0.5000  2 Cu 1.97
O3 0.2332 0.7668 0.5000  3 Cu 1.89-1.95
O4 0.3062 0.6938 0.5000  1 Cu 1.85
O5 0.3557 0.6443 0.0000  2 Cu 1.97
O6 0.4120 0.5880 0.0000  2 Cu 1.98
O7 0.4633 0.5367 0.5000  1 Cu 1.88
O8 0.5000 0.5000 0.0000  2 Cu 1.96
O9 0.5367 0.4633 0.5000  1 Cu 1.88
O10 0.5880 0.4120 0.0000  2 Cu 1.98
O11 0.6443 0.3557 0.0000  2 Cu 1.97
O12 0.6938 0.3062 0.5000  1 Cu 1.85
O13 0.7668 0.2332 0.5000  3 Cu 1.89-1.95
O14 0.8574 0.1426 0.5000  2 Cu 1.97
O15 0.9133 0.0867 0.5000  2 Cu 1.96

Values from the calculation:
- Symmetry: Cmmm
- Formation enthalpy at 0 K: -5706 kJ/mol of formula units
- Energy: -6.156 eV per atom
- Excess energy over the best structure of this formula in the dataset: 4 meV/atom

---

# 4
Li2TlIn after structural relaxation, computed with PBE-GGA.

abc: 4.8493 4.8493 4.8493
angles: 60.00 60.00 60.00
With the nearest neighbours (Å) after each atom.
Fractional coordinates of all 4 atoms:
Li1 0.2500 0.2500 0.2500  4 Tl 2.97, 4 In 2.97
Li2 0.7500 0.7500 0.7500  4 In 2.97, 4 Tl 2.97
Tl1 0.0000 0.0000 0.0000  8 Li 2.97
In1 0.5000 0.5000 0.5000  8 Li 2.97

Values from the calculation:
- Symmetry: Fm-3m
- Formation enthalpy at 0 K: -95 kJ/mol of formula units
- Energy: -2.480 eV per atom